A geometry-optimized Sm4B18Cl3O38 structure, computed with PBE-GGA.

- crystal system = monoclinic
- ΔH_f (0 K) (meV/atom) = -2523
- E (eV per cell) = -931.06

Geometry as extended XYZ:
```
126
Lattice="10.681 0.000 0.000 0.000 6.539 0.000 -3.510 0.000 22.638" Properties=species:S:1:pos:R:3 pbc="T T T"
Sm 0.149 0.681 3.159
Sm -1.606 5.858 14.478
Sm 1.550 2.479 19.213
Sm 3.305 4.060 7.894
Sm 3.866 2.479 14.744
Sm 5.621 4.060 3.425
Sm 8.777 0.681 8.160
Sm 7.022 5.858 19.479
B -2.010 2.532 20.324
B -0.255 4.007 9.005
B -1.129 2.859 15.005
B 0.626 3.680 3.686
B -2.024 1.606 22.593
B -0.269 4.933 11.274
B -0.998 0.326 20.682
B 0.757 6.212 9.363
B 1.350 2.045 8.956
B -0.405 4.493 20.275
B 0.529 1.232 15.874
B 2.283 5.306 4.554
B 2.840 2.916 4.534
B 1.086 3.623 15.853
B 3.734 0.719 3.768
B 1.979 5.820 15.087
B 3.204 0.372 9.092
B 1.449 6.167 20.412
B 5.722 0.372 2.227
B 3.967 6.167 13.546
B 5.192 0.719 7.551
B 3.437 5.820 18.870
B 6.085 2.916 6.785
B 4.331 3.623 18.104
B 4.887 1.232 18.084
B 6.642 5.306 6.765
B 7.575 2.045 2.363
B 5.821 4.493 13.683
B 6.414 0.326 13.275
B 8.169 6.212 1.956
B 7.440 1.606 11.365
B 9.195 4.933 0.045
B 6.545 2.859 18.952
B 8.300 3.680 7.633
B 7.426 2.532 13.633
B 9.181 4.007 2.314
Cl -0.877 1.013 5.660
Cl -2.632 5.525 16.979
Cl 2.140 1.973 12.444
Cl 3.895 4.565 1.125
Cl 3.276 1.973 21.514
Cl 5.031 4.565 10.194
O -1.247 3.251 8.237
O -3.002 3.288 19.557
O -2.292 2.651 21.771
O -0.537 3.888 10.452
O -1.970 1.116 19.934
O -0.215 5.423 8.615
O 0.968 1.442 1.213
O -0.787 5.097 12.532
O -0.819 1.544 15.312
O 0.936 4.995 3.993
O -0.239 0.702 12.401
O 1.516 5.837 1.082
O 0.384 1.081 9.078
O -1.371 5.458 20.397
O 1.499 2.655 3.974
O -0.256 3.884 15.293
O -1.180 0.584 22.152
O 0.575 5.955 10.833
O -0.670 3.168 20.050
O 1.085 3.371 8.731
O 2.527 0.124 4.104
O 0.772 6.415 15.423
O 0.653 1.381 17.318
O 2.407 5.158 5.999
O 0.388 0.622 20.335
O 2.143 5.917 9.016
O 2.835 2.882 5.975
O 1.080 3.656 17.294
O 1.523 2.231 15.454
O 3.278 4.308 4.135
O 2.706 1.757 8.964
O 0.951 4.781 20.283
O 3.848 2.076 3.892
O 2.094 4.462 15.211
O 4.885 0.311 0.985
O 3.130 6.228 12.304
O 3.038 0.025 14.632
O 4.793 6.513 3.313
O 2.378 0.025 19.326
O 4.133 6.513 8.007
O 4.041 0.311 10.334
O 2.286 6.228 21.653
O 5.077 2.076 7.427
O 3.322 4.462 18.747
O 6.219 1.757 2.355
O 4.465 4.781 13.674
O 3.893 2.231 18.503
O 5.648 4.308 7.184
O 6.091 2.882 5.345
O 4.336 3.656 16.664
O 5.028 0.622 13.622
O 6.782 5.917 2.303
O 4.764 1.381 16.639
O 6.518 5.158 5.320
O 6.399 0.124 7.216
O 4.644 6.415 18.535
O 6.086 3.168 13.907
O 7.841 3.371 2.588
O 6.596 0.584 11.806
O 8.351 5.955 0.487
O 7.427 2.655 7.345
O 5.672 3.884 18.664
O 8.541 1.081 2.241
O 6.787 5.458 13.560
O 5.655 0.702 21.556
O 7.410 5.837 10.237
O 6.235 1.544 18.646
O 7.990 4.995 7.326
O 7.958 1.442 10.107
O 6.203 5.097 21.426
O 7.386 1.116 14.023
O 9.141 5.423 2.704
O 7.708 2.651 12.186
O 9.463 3.888 0.867
O 10.172 3.251 3.082
O 8.418 3.288 14.401
```